Record 1
A relaxed structure of CeSi2Ag2. Source: Materials Project, functional r2SCAN.

Results
* M_tot: 0.95 Bohr magnetons per cell
* DFT formation energy: -0.46 eV/atom

Structure (extended XYZ):
```
5
Lattice="-2.120 2.120 5.357 2.120 -2.120 5.357 2.120 2.120 -5.357" Properties=species:S:1:pos:R:3 pbc="T T T"
Ce 0.000 0.000 0.000
Si 0.000 0.000 4.196
Si 0.000 0.000 6.519
Ag 2.120 0.000 2.679
Ag 0.000 2.120 2.679
```

***

Record 2
A relaxed structure of YbCeAg2. Source: Materials Project, functional r2SCAN.

Results
* M_tot: 1.01 Bohr magnetons per cell
* DFT formation energy: -0.21 eV/atom

Structure (extended XYZ):
```
4
Lattice="0.000 3.651 3.651 3.651 0.000 3.651 3.651 3.651 0.000" Properties=species:S:1:pos:R:3 pbc="T T T"
Yb 0.000 0.000 0.000
Ce 3.651 3.651 3.651
Ag 1.826 1.826 1.826
Ag 5.477 5.477 5.477
```

***

Record 3
A relaxed structure of AgCl. Source: Materials Project, functional r2SCAN.

Results
* M_tot: 0.00 Bohr magnetons per cell
* DFT formation energy: -0.57 eV/atom

Structure (extended XYZ):
```
2
Lattice="0.000 2.773 2.773 2.773 0.000 2.773 2.773 2.773 0.000" Properties=species:S:1:pos:R:3 pbc="T T T"
Ag 0.000 0.000 0.000
Cl 2.773 2.773 2.773
```